#1
DFT (PBE with a Hubbard U) results for a relaxed structure of Li2MnS2O8.

Properties
total magnetization = 0.00 μB/f.u.
density = 2.62 g/cm3

```
Li2MnS2O8
1.0
6.2951 -3.7592 4.1716
1.1099 -5.7630 -6.8681
6.1447 3.0012 -6.5680
S O Mn Li
8 32 4 8
Direct
0.8035 0.6328 0.1630
0.1965 0.3672 0.8370
0.6965 0.1328 0.1630
0.3035 0.3672 0.3370
0.6965 0.6328 0.6630
0.8035 0.1328 0.6630
0.1965 0.8672 0.3370
0.3035 0.8672 0.8370
0.3594 0.8525 0.4043
0.6475 0.3005 0.1374
0.1406 0.8525 0.9043
0.1406 0.3525 0.4043
0.5855 0.0612 0.0875
0.7995 0.0311 0.8322
0.7005 0.5311 0.8322
0.4145 0.9388 0.9125
0.2005 0.4689 0.6678
0.3525 0.1995 0.3626
0.8525 0.3005 0.6374
0.4145 0.4388 0.4125
0.1475 0.6996 0.3626
0.3525 0.6995 0.8626
0.6475 0.8005 0.6374
0.7005 0.0311 0.3322
0.9145 0.0612 0.5875
0.3594 0.3525 0.9043
0.1475 0.1995 0.8626
0.6406 0.1475 0.5957
0.2005 0.9689 0.1678
0.9145 0.5612 0.0875
0.8525 0.8005 0.1374
0.0855 0.9388 0.4125
0.7995 0.5311 0.3322
0.2995 0.4689 0.1678
0.8594 0.6475 0.5957
0.2995 0.9689 0.6678
0.8594 0.1475 0.0957
0.5855 0.5612 0.5875
0.0855 0.4388 0.9125
0.6406 0.6475 0.0957
0.5000 0.0000 0.5000
0.0000 0.5000 0.5000
0.0000 0.0000 0.0000
0.5000 0.5000 0.0000
0.3667 0.0937 0.0105
0.3667 0.5937 0.5105
0.8667 0.4063 0.9895
0.1333 0.0937 0.5105
0.6333 0.4063 0.4895
0.8667 0.9063 0.4895
0.1333 0.5937 0.0105
0.6333 0.9063 0.9895
```

#2
DFT (PBE with a Hubbard U) results for a relaxed structure of Li2MnS2O8.

Properties
total magnetization = 5.00 μB/f.u.
density = 2.76 g/cm3

```
Li2MnS2O8
1.0
9.4092 0.0000 0.0000
0.0000 14.0374 0.0000
0.0000 0.0000 9.5024
Li Mn S O
16 8 16 64
Direct
0.0460 0.1274 0.2238
0.0460 0.3726 0.7238
0.2203 0.6259 0.4667
0.2203 0.8741 0.9667
0.2797 0.1259 0.4667
0.2797 0.3741 0.9667
0.4540 0.6274 0.2238
0.4540 0.8726 0.7238
0.5460 0.1274 0.2762
0.5460 0.3726 0.7762
0.7203 0.6259 0.0333
0.7203 0.8741 0.5333
0.7797 0.1259 0.0333
0.7797 0.3741 0.5333
0.9540 0.6274 0.2762
0.9540 0.8726 0.7762
0.1024 0.6236 0.8603
0.1024 0.8764 0.3603
0.3976 0.1236 0.8603
0.3976 0.3764 0.3603
0.6024 0.6236 0.6397
0.6024 0.8764 0.1397
0.8976 0.1236 0.6397
0.8976 0.3764 0.1397
0.0702 0.2287 0.9259
0.0702 0.2713 0.4259
0.1878 0.5096 0.1611
0.1878 0.9904 0.6611
0.3122 0.0096 0.1611
0.3122 0.4904 0.6611
0.4298 0.7287 0.9259
0.4298 0.7713 0.4259
0.5702 0.2287 0.5741
0.5702 0.2713 0.0741
0.6878 0.5096 0.3389
0.6878 0.9904 0.8389
0.8122 0.0096 0.3389
0.8122 0.4904 0.8389
0.9298 0.7287 0.5741
0.9298 0.7713 0.0741
0.0028 0.1558 0.0168
0.0028 0.3442 0.5168
0.0155 0.2229 0.7787
0.0155 0.2771 0.2787
0.0362 0.0010 0.7052
0.0362 0.4990 0.2052
0.0382 0.1716 0.4750
0.0382 0.3284 0.9750
0.2000 0.5228 0.0061
0.2000 0.9772 0.5061
0.2286 0.2228 0.9279
0.2286 0.2772 0.4279
0.2331 0.5809 0.6884
0.2331 0.9191 0.1884
0.2471 0.5917 0.2408
0.2471 0.9083 0.7408
0.2529 0.0917 0.2408
0.2529 0.4083 0.7408
0.2669 0.0809 0.6884
0.2669 0.4191 0.1884
0.2714 0.7228 0.9279
0.2714 0.7772 0.4279
0.3000 0.0228 0.0061
0.3000 0.4772 0.5061
0.4618 0.6716 0.4750
0.4618 0.8284 0.9750
0.4638 0.5010 0.7052
0.4638 0.9990 0.2052
0.4845 0.7229 0.7787
0.4845 0.7771 0.2787
0.4972 0.6558 0.0168
0.4972 0.8442 0.5168
0.5028 0.1558 0.4832
0.5028 0.3442 0.9832
0.5155 0.2229 0.7213
0.5155 0.2771 0.2213
0.5362 0.0010 0.7948
0.5362 0.4990 0.2948
0.5382 0.1716 0.0250
0.5382 0.3284 0.5250
0.7000 0.5228 0.4939
0.7000 0.9772 0.9939
0.7286 0.2228 0.5721
0.7286 0.2772 0.0721
0.7331 0.5809 0.8116
0.7331 0.9191 0.3116
0.7471 0.5917 0.2592
0.7471 0.9083 0.7592
0.7529 0.0917 0.2592
0.7529 0.4083 0.7592
0.7669 0.0809 0.8116
0.7669 0.4191 0.3116
0.7714 0.7228 0.5721
0.7714 0.7772 0.0721
0.8000 0.0228 0.4939
0.8000 0.4772 0.9939
0.9618 0.6716 0.0250
0.9618 0.8284 0.5250
0.9638 0.5010 0.7948
0.9638 0.9990 0.2948
0.9845 0.7229 0.7213
0.9845 0.7771 0.2213
0.9972 0.6558 0.4832
0.9972 0.8442 0.9832
```

On energetic grounds, #1 is preferred over the next structure by 14 meV per atom.

#1
DFT (PBE with a Hubbard U) results for a relaxed structure of Li4Mn3SbO8.

Properties
total magnetization = 0.00 μB/f.u.
density = 4.44 g/cm3

```
Li4Mn3SbO8
1.0
6.1289 0.0000 0.0000
-0.0075 6.2610 0.0000
-0.2174 -0.0007 8.6299
Li Mn Sb O
8 6 2 16
Direct
0.0000 0.0000 0.0000
0.0001 0.4999 0.0000
0.2452 0.2504 0.7512
0.2499 0.7549 0.7502
0.5000 0.0000 0.5000
0.5008 0.4992 0.5000
0.7503 0.2450 0.2497
0.7557 0.7500 0.2487
0.9999 0.0002 0.5000
0.0000 0.5000 0.4999
0.2532 0.7486 0.2496
0.5000 0.9999 0.0000
0.5002 0.4999 0.0001
0.7472 0.2513 0.7507
0.2497 0.2516 0.2499
0.7503 0.7483 0.7501
0.0150 0.0199 0.2585
0.0158 0.4803 0.2439
0.2173 0.7773 0.4974
0.2399 0.2506 0.0144
0.2600 0.2501 0.4850
0.2826 0.7760 0.0020
0.4845 0.4801 0.2564
0.4859 0.0215 0.2405
0.5143 0.9785 0.7595
0.5157 0.5197 0.7437
0.7176 0.2237 0.9981
0.7401 0.7500 0.5150
0.7603 0.7492 0.9855
0.7824 0.2231 0.5025
0.9844 0.5198 0.7560
0.9850 0.9802 0.7416
```

#2
DFT (PBE with a Hubbard U) results for a relaxed structure of Li4Mn3SbO8.

Properties
total magnetization = 0.00 μB/f.u.
density = 4.43 g/cm3

```
Li4Mn3SbO8
1.0
6.0795 0.0000 0.0000
0.0839 6.2214 0.0000
0.2335 0.0143 8.7687
Li Mn Sb O
8 6 2 16
Direct
0.0000 0.0000 0.0000
0.0006 0.4959 0.0002
0.2376 0.7472 0.2458
0.2507 0.2475 0.2516
0.4951 0.4937 0.4994
0.5012 0.9954 0.4999
0.7392 0.2470 0.7461
0.7517 0.7470 0.7550
0.9998 0.4982 0.5019
0.0018 0.9980 0.5011
0.2455 0.2473 0.7492
0.5005 0.4972 0.0013
0.5005 0.9978 0.0019
0.7451 0.7474 0.2492
0.2515 0.7477 0.7513
0.7512 0.2474 0.2513
0.0111 0.9793 0.7566
0.0166 0.5213 0.7525
0.2196 0.2219 0.5036
0.2504 0.7398 0.9857
0.2512 0.7557 0.5176
0.2826 0.2751 0.9958
0.4837 0.9767 0.7505
0.4894 0.5142 0.7455
0.5107 0.4789 0.2564
0.5165 0.0211 0.2525
0.7182 0.7203 0.0035
0.7505 0.2553 0.0174
0.7510 0.2398 0.4854
0.7845 0.7763 0.4950
0.9832 0.4769 0.2501
0.9896 0.0147 0.2448
```

#3
DFT (PBE with a Hubbard U) results for a relaxed structure of Li4Mn3SbO8.

Properties
total magnetization = 0.00 μB/f.u.
density = 4.40 g/cm3

```
Li4Mn3SbO8
1.0
-0.0039 -3.2616 5.3254
8.7367 2.6127 5.2495
-1.7932 2.7240 5.3252
Li O Mn Sb
8 16 6 2
Direct
0.7500 0.7500 0.2500
0.7500 0.2500 0.7500
0.2500 0.2500 0.7500
0.7500 0.2500 0.2500
0.7500 0.7500 0.7500
0.2500 0.7500 0.2500
0.2500 0.7500 0.7500
0.2500 0.2500 0.2500
0.8677 0.3974 0.8660
0.3861 0.3809 0.8470
0.8861 0.8804 0.8865
0.1322 0.6026 0.1341
0.1139 0.1190 0.6530
0.8861 0.8810 0.3470
0.1529 0.6191 0.6138
0.6138 0.6196 0.6135
0.6139 0.6191 0.1530
0.6528 0.1191 0.1138
0.3677 0.8975 0.3657
0.3862 0.3804 0.3865
0.6322 0.1025 0.6343
0.1139 0.1196 0.1135
0.3472 0.8809 0.8862
0.8472 0.3809 0.3862
0.0000 0.0000 0.5000
0.0000 0.5000 0.5000
0.5000 0.5000 0.0000
0.5000 0.0000 0.0000
0.5000 0.0000 0.5000
0.0000 0.5000 0.0000
0.0000 0.0000 0.0000
0.5000 0.5000 0.5000
```

On energetic grounds, #1 is preferred over the next structure by 6 meV per atom.